(1)
Compound: Rb2CoF4
Source: the Materials Project
Functional: PBE+U
Structure: optimized geometry

Output
The value obtained for the density is 4.142 g/cm³. Its magnetization is 6.00 μB per cell. The symmetry is I4/mmm. The value obtained for the calculated formation energy is -2.603 eV/atom.

```
Rb2CoF4
1.0
4.204 0.000 0.000
0.000 4.204 0.000
0.000 0.000 13.878
Rb Co F
4 2 8
direct
0.000 0.000 0.145
0.000 0.000 0.855
0.500 0.500 0.355
0.500 0.500 0.645
0.000 0.000 0.500
0.500 0.500 0.000
0.000 0.000 0.353
0.000 0.000 0.647
0.000 0.500 0.000
0.000 0.500 0.500
0.500 0.000 0.000
0.500 0.000 0.500
0.500 0.500 0.147
0.500 0.500 0.853
```

=====

(2)
Compound: K4MoC4N4O2
Source: the Materials Project
Functional: PBE+U
Structure: optimized geometry

Output
The value obtained for the density is 1.989 g/cm³. Its magnetization is 0.00 μB per cell. The symmetry is P2_1/c. The value obtained for the calculated formation energy is -0.620 eV/atom.

```
K4MoC4N4O2
1.0
6.583 0.000 0.000
0.000 12.355 0.000
-4.220 0.000 7.974
K Mo C N O
8 2 8 8 4
direct
0.142 0.223 0.496
0.142 0.277 0.996
0.165 0.533 0.740
0.165 0.967 0.240
0.835 0.033 0.760
0.835 0.467 0.260
0.858 0.723 0.004
0.858 0.777 0.504
0.500 0.000 0.000
0.500 0.500 0.500
0.283 0.649 0.428
0.283 0.851 0.928
0.359 0.013 0.724
0.359 0.487 0.224
0.641 0.513 0.776
0.641 0.987 0.276
0.717 0.149 0.072
0.717 0.351 0.572
0.153 0.722 0.367
0.153 0.778 0.867
0.295 0.010 0.578
0.295 0.490 0.078
0.705 0.510 0.922
0.705 0.990 0.422
0.847 0.222 0.133
0.847 0.278 0.633
0.253 0.076 0.998
0.253 0.424 0.498
0.747 0.576 0.502
0.747 0.924 0.002
```

=====

(3)
Compound: Sr4LiMn2Ga2O10
Source: the Materials Project
Functional: PBE+U
Structure: optimized geometry

Output
The value obtained for the density is 4.782 g/cm³. The calculation puts the energy above the most stable polymorph in this dataset at 62 meV/atom. Its magnetization is 9.00 μB per cell. The symmetry is C2/m. The value obtained for the calculated formation energy is -2.553 eV/atom.

```
Sr4LiMn2Ga2O10
1.0
4.016 -8.186 0.000
4.016 8.186 0.000
-3.955 0.000 4.050
Sr Li Mn Ga O
4 1 2 2 10
direct
0.086 0.379 0.464
0.379 0.086 0.464
0.621 0.914 0.536
0.914 0.621 0.536
0.000 0.000 0.500
0.000 0.500 0.000
0.500 0.000 0.000
0.356 0.356 0.060
0.644 0.644 0.940
0.114 0.309 0.978
0.252 0.748 0.500
0.257 0.743 0.000
0.309 0.114 0.978
0.317 0.317 0.659
0.683 0.683 0.341
0.691 0.886 0.022
0.743 0.257 0.000
0.748 0.252 0.500
0.886 0.691 0.022
```

=====

(4)
Compound: Sr2TaFeO6
Source: the Materials Project
Functional: PBE+U
Structure: optimized geometry

Output
The value obtained for the density is 6.518 g/cm³. Its magnetization is 0.00 μB per cell. The value obtained for the calculated formation energy is -3.045 eV/atom.

```
Sr2TaFeO6
1.0
-5.449 0.735 1.418
-3.967 -3.498 -2.065
-1.995 -6.525 7.082
O Sr Fe Ta
12 4 2 2
direct
0.253 0.749 0.249
0.753 0.249 0.749
0.249 0.249 0.749
0.501 0.501 0.001
0.501 0.997 0.001
0.997 0.501 0.001
0.249 0.753 0.749
0.749 0.253 0.249
0.001 0.001 0.501
0.749 0.749 0.249
0.001 0.497 0.501
0.497 0.001 0.501
0.000 0.000 0.000
0.750 0.750 0.750
0.500 0.500 0.500
0.250 0.250 0.250
0.875 0.875 0.375
0.375 0.375 0.875
0.125 0.125 0.625
0.625 0.625 0.125
```